No. 1
A geometry-optimized Li7Ti5O12 structure, computed with r²SCAN. Values from VASP.

Geometry as Quantum ESPRESSO input:
```
&SYSTEM
  ibrav = 0, nat = 24, ntyp = 3
/
ATOMIC_SPECIES
O 16.00 O.upf
Li 6.94 Li.upf
Ti 47.87 Ti.upf
ATOMIC_POSITIONS crystal
O 0.539 0.204 0.884
O 0.038 0.682 0.387
Li 0.407 0.081 0.255
O 0.124 0.124 0.127
Li 0.245 0.245 0.743
O 0.393 0.393 0.386
Li 0.081 0.407 0.255
O 0.796 0.461 0.116
Li 0.919 0.593 0.745
Ti 0.667 0.333 0.500
O 0.318 0.962 0.613
O 0.962 0.318 0.613
Li 0.000 0.000 0.500
Ti 0.500 0.500 0.000
Ti 0.158 0.842 0.000
O 0.876 0.876 0.873
O 0.204 0.539 0.884
Ti 0.842 0.158 0.000
Li 0.755 0.755 0.257
Ti 0.333 0.667 0.500
O 0.461 0.796 0.116
O 0.682 0.038 0.387
Li 0.593 0.919 0.745
O 0.607 0.607 0.614
CELL_PARAMETERS angstrom
-3.552 -1.992 3.013
4.895 -0.405 1.243
-0.097 7.524 6.281
```

Values from the calculation:
**E_form**: -2.878 eV/atom

No. 2
A geometry-optimized Li6Ti2O7 structure, computed with r²SCAN. Values from VASP.

Geometry as Quantum ESPRESSO input:
```
&SYSTEM
  ibrav = 0, nat = 15, ntyp = 3
/
ATOMIC_SPECIES
Ti 47.87 Ti.upf
O 16.00 O.upf
Li 6.94 Li.upf
ATOMIC_POSITIONS crystal
Ti 0.856 0.875 0.762
O 0.490 0.011 0.999
O 0.989 0.510 0.001
O 0.220 0.780 0.500
Li 0.622 0.637 0.315
O 0.735 0.756 0.549
Ti 0.125 0.144 0.238
O 0.990 0.010 0.000
O 0.244 0.265 0.451
Li 0.079 0.651 0.274
Li 0.631 0.099 0.273
Li 0.901 0.369 0.727
Li 0.363 0.378 0.685
Li 0.349 0.921 0.726
O 0.760 0.240 0.500
CELL_PARAMETERS angstrom
-4.325 -1.729 -3.280
0.803 -0.460 -5.621
0.731 -4.891 -1.050
```

Values from the calculation:
**E_form**: -2.727 eV/atom
**ΔE to the lowest computed polymorph**: 4 meV per atom

No. 3
A geometry-optimized Li2Ti4O9 structure, computed with r²SCAN. Values from VASP.

Geometry as Quantum ESPRESSO input:
```
&SYSTEM
  ibrav = 0, nat = 30, ntyp = 3
/
ATOMIC_SPECIES
O 16.00 O.upf
Li 6.94 Li.upf
Ti 47.87 Ti.upf
ATOMIC_POSITIONS crystal
O 0.357 0.383 0.418
O 0.000 0.662 0.750
O 0.662 0.000 0.750
Li 0.000 0.000 0.145
Ti 0.667 0.333 0.975
Ti 0.667 0.333 0.188
O 0.026 0.643 0.418
Ti 0.667 0.333 0.475
O 0.383 0.357 0.082
Li 0.000 0.000 0.355
O 0.643 0.026 0.082
Ti 0.333 0.667 0.025
O 0.383 0.026 0.582
O 0.338 0.000 0.250
O 0.338 0.338 0.750
Li 0.000 0.000 0.855
O 0.617 0.974 0.418
O 0.026 0.383 0.918
Ti 0.667 0.333 0.688
O 0.974 0.617 0.082
O 0.662 0.662 0.250
O 0.643 0.617 0.582
Ti 0.333 0.667 0.812
O 0.617 0.643 0.918
Li 0.000 0.000 0.645
Ti 0.333 0.667 0.525
O 0.974 0.357 0.582
O 0.357 0.974 0.918
Ti 0.333 0.667 0.312
O 0.000 0.338 0.250
CELL_PARAMETERS angstrom
2.511 -4.349 0.000
2.511 4.349 0.000
0.000 0.000 13.818
```

Values from the calculation:
**E_form**: -3.141 eV/atom

No. 4
A geometry-optimized Li6Ti2O7 structure, computed with r²SCAN. Values from VASP.

Geometry as Quantum ESPRESSO input:
```
&SYSTEM
  ibrav = 0, nat = 30, ntyp = 3
/
ATOMIC_SPECIES
Li 6.94 Li.upf
O 16.00 O.upf
Ti 47.87 Ti.upf
ATOMIC_POSITIONS crystal
Li 0.670 0.470 0.390
O 0.999 0.730 0.501
O 0.640 0.863 0.750
O 0.001 0.270 0.499
O 0.863 0.640 0.250
Ti 0.430 0.203 0.869
O 0.496 0.260 0.475
Li 0.076 0.332 0.113
Li 0.924 0.668 0.887
O 0.504 0.740 0.525
Li 0.923 0.207 0.903
Li 0.207 0.923 0.403
Li 0.793 0.077 0.597
Li 0.330 0.530 0.610
Ti 0.203 0.430 0.369
Li 0.668 0.924 0.387
Li 0.077 0.793 0.097
Ti 0.797 0.570 0.631
O 0.740 0.504 0.025
Li 0.470 0.670 0.890
O 0.730 0.999 0.001
O 0.270 0.001 0.999
O 0.352 0.648 0.250
O 0.260 0.496 0.975
Ti 0.570 0.797 0.131
O 0.360 0.137 0.250
O 0.648 0.352 0.750
O 0.137 0.360 0.750
Li 0.530 0.330 0.110
Li 0.332 0.076 0.613
CELL_PARAMETERS angstrom
1.218 -4.554 -3.266
3.046 0.632 -4.818
8.786 -2.088 3.370
```

Values from the calculation:
**E_form**: -2.731 eV/atom
**ΔE to the lowest computed polymorph**: 0 meV per atom